Entry 1:
Computed, not measured: a geometry-optimized NaZnN structure at the PBE level of DFT.

Output
* ρ: 3.8 Mg/m³
* magnetic moment: 0.0 μB per cell
* formation energy: -0.110 eV/atom
* E_tot: -10.89 eV per formula unit
* crystal system: hexagonal

Cell and atoms, written as CIF:
```
data_NaZnN
_chemical_formula_sum 'Na2 Zn2 N2'
_space_group_name_H-M_alt 'P 63 m c'
_space_group_IT_number 186
_space_group_name_Hall 'P 6c -2c'
_cell_length_a 3.4504
_cell_length_b 3.4504
_cell_length_c 8.6872
_cell_angle_alpha 90.00
_cell_angle_beta 90.00
_cell_angle_gamma 120.00
loop_
_atom_site_label
_atom_site_type_symbol
_atom_site_fract_x
_atom_site_fract_y
_atom_site_fract_z
Na1 Na 0.3333 0.6667 0.0000
Zn1 Zn 0.0000 0.0000 0.2698
N1 N 0.3333 0.6667 0.2915
```


Entry 2:
Computed, not measured: a geometry-optimized Na2ZrN2 structure at the PBE level of DFT.

Output
* ρ: 3.2 Mg/m³
* magnetic moment: 0.0 μB per cell
* formation energy: -0.801 eV/atom
* E_tot: -31.15 eV per formula unit
* crystal system: trigonal

Cell and atoms, written as CIF:
```
data_Na2ZrN2
_chemical_formula_sum 'Na2 Zr1 N2'
_space_group_name_H-M_alt 'P -3 m 1'
_space_group_IT_number 164
_space_group_name_Hall '-P 3 2"'
_cell_length_a 3.3573
_cell_length_b 3.3573
_cell_length_c 8.8855
_cell_angle_alpha 90.00
_cell_angle_beta 90.00
_cell_angle_gamma 120.00
loop_
_atom_site_label
_atom_site_type_symbol
_atom_site_fract_x
_atom_site_fract_y
_atom_site_fract_z
Na1 Na 0.3333 0.6667 0.2067
Zr1 Zr 0.0000 0.0000 0.5000
N1 N 0.3333 0.6667 0.6314
```


Entry 3:
Computed, not measured: a geometry-optimized Nb4N5 structure at the PBE level of DFT.

Output
* ρ: 7.1 Mg/m³
* formation energy: -1.152 eV/atom
* E_tot: -90.65 eV per formula unit
* crystal system: tetragonal

Cell and atoms, written as CIF:
```
data_Nb4N5
_chemical_formula_sum 'Nb8 N10'
_space_group_name_H-M_alt 'I 4/m'
_space_group_IT_number 87
_space_group_name_Hall '-I 4'
_cell_length_a 6.936
_cell_length_b 6.936
_cell_length_c 4.322
_cell_angle_alpha 90.00
_cell_angle_beta 90.00
_cell_angle_gamma 90.00
loop_
_atom_site_label
_atom_site_type_symbol
_atom_site_fract_x
_atom_site_fract_y
_atom_site_fract_z
Nb1 Nb 0.105 0.716 0.000
N1 N 0.000 0.000 0.000
N2 N 0.092 0.694 0.500
```


Entry 4:
Computed, not measured: a geometry-optimized NbN structure at the PBE level of DFT.

Output
* ρ: 8.1 Mg/m³
* formation energy: -1.208 eV/atom
* E_tot: -20.49 eV per formula unit
* crystal system: hexagonal

Cell and atoms, written as CIF:
```
data_NbN
_chemical_formula_sum 'Nb2 N2'
_space_group_name_H-M_alt 'P 63/m m c'
_space_group_IT_number 194
_space_group_name_Hall '-P 6c 2c'
_cell_length_a 2.9989
_cell_length_b 2.9989
_cell_length_c 5.6184
_cell_angle_alpha 90.00
_cell_angle_beta 90.00
_cell_angle_gamma 120.00
loop_
_atom_site_label
_atom_site_type_symbol
_atom_site_fract_x
_atom_site_fract_y
_atom_site_fract_z
Nb1 Nb 0.3333 0.6667 0.2500
N1 N 0.0000 0.0000 0.0000
```


Entry 5:
Computed, not measured: a geometry-optimized Nb20N17 structure at the PBE level of DFT.

Output
* ρ: 8.0 Mg/m³
* magnetic moment: 0.0 μB per cell
* formation energy: -1.061 eV/atom
* E_tot: -376.88 eV per formula unit
* crystal system: monoclinic

Cell and atoms, written as CIF:
```
data_Nb20N17
_chemical_formula_sum 'Nb40 N34'
_space_group_name_H-M_alt 'C 1 2/m 1'
_space_group_IT_number 12
_cell_length_a 15.335
_cell_length_b 6.271
_cell_length_c 10.358
_cell_angle_alpha 90.00
_cell_angle_beta 119.69
_cell_angle_gamma 90.00
loop_
_space_group_symop_operation_xyz
'x,y,z'
'-x,-y,-z'
'-x,y,-z'
'x,-y,z'
'x+1/2,y+1/2,z'
'-x+1/2,-y+1/2,-z'
'-x+1/2,y+1/2,-z'
'x+1/2,-y+1/2,z'
loop_
_atom_site_label
_atom_site_type_symbol
_atom_site_fract_x
_atom_site_fract_y
_atom_site_fract_z
Nb1 Nb 0.048 0.238 0.404
Nb2 Nb 0.050 0.500 0.900
Nb3 Nb 0.057 0.000 0.908
Nb4 Nb 0.140 0.000 0.687
Nb5 Nb 0.151 0.240 0.195
Nb6 Nb 0.157 0.500 0.708
Nb7 Nb 0.249 0.000 0.499
Nb8 Nb 0.250 0.250 0.000
N1 N 0.000 0.248 0.000
N2 N 0.000 0.500 0.500
N3 N 0.096 0.000 0.294
N4 N 0.101 0.250 0.800
N5 N 0.101 0.500 0.301
N6 N 0.200 0.250 0.601
N7 N 0.205 0.500 0.106
```


Entry 6:
Computed, not measured: a geometry-optimized NbN structure at the PBE level of DFT.

Output
* ρ: 8.0 Mg/m³
* formation energy: -1.248 eV/atom
* E_tot: -20.57 eV per formula unit
* crystal system: hexagonal

Cell and atoms, written as CIF:
```
data_NbN
_chemical_formula_sum 'Nb1 N1'
_space_group_name_H-M_alt 'P -6 m 2'
_space_group_IT_number 187
_space_group_name_Hall 'P -6 2'
_cell_length_a 2.9762
_cell_length_b 2.9762
_cell_length_c 2.8987
_cell_angle_alpha 90.00
_cell_angle_beta 90.00
_cell_angle_gamma 120.00
loop_
_atom_site_label
_atom_site_type_symbol
_atom_site_fract_x
_atom_site_fract_y
_atom_site_fract_z
Nb1 Nb 0.0000 0.0000 0.0000
N1 N 0.3333 0.6667 0.5000
```


Entry 7:
Computed, not measured: a geometry-optimized Nb4N3 structure at the PBE level of DFT.

Output
* ρ: 8.0 Mg/m³
* magnetic moment: 0.0 μB per cell
* offset from the most stable computed form: 0.0 kJ/mol of atoms
* formation energy: -1.071 eV/atom
* E_tot: -71.83 eV per formula unit
* crystal system: tetragonal

Cell and atoms, written as CIF:
```
data_Nb4N3
_chemical_formula_sum 'Nb8 N6'
_space_group_name_H-M_alt 'I 4/m m m'
_space_group_IT_number 139
_space_group_name_Hall '-I 4 2'
_cell_length_a 4.429
_cell_length_b 4.429
_cell_length_c 8.712
_cell_angle_alpha 90.00
_cell_angle_beta 90.00
_cell_angle_gamma 90.00
loop_
_atom_site_label
_atom_site_type_symbol
_atom_site_fract_x
_atom_site_fract_y
_atom_site_fract_z
Nb1 Nb 0.000 0.000 0.246
Nb2 Nb 0.000 0.500 0.000
N1 N 0.000 0.000 0.500
N2 N 0.000 0.500 0.250
```


Entry 8:
Computed, not measured: a geometry-optimized Nb2N3 structure at the PBE level of DFT.

Output
* ρ: 7.4 Mg/m³
* formation energy: -1.041 eV/atom
* E_tot: -49.33 eV per formula unit
* crystal system: orthorhombic

Cell and atoms, written as CIF:
```
data_Nb2N3
_chemical_formula_sum 'Nb8 N12'
_space_group_name_H-M_alt 'P n m a'
_space_group_IT_number 62
_cell_length_a 8.320
_cell_length_b 3.020
_cell_length_c 8.189
_cell_angle_alpha 90.00
_cell_angle_beta 90.00
_cell_angle_gamma 90.00
loop_
_space_group_symop_operation_xyz
'x,y,z'
'-x,-y,-z'
'-x+1/2,-y,z+1/2'
'x+1/2,y,-z+1/2'
'x+1/2,-y+1/2,-z+1/2'
'-x+1/2,y+1/2,z+1/2'
'-x,y+1/2,-z'
'x,-y+1/2,z'
loop_
_atom_site_label
_atom_site_type_symbol
_atom_site_fract_x
_atom_site_fract_y
_atom_site_fract_z
Nb1 Nb 0.022 0.250 0.187
Nb2 Nb 0.195 0.250 0.504
N1 N 0.046 0.750 0.374
N2 N 0.121 0.250 0.952
N3 N 0.221 0.750 0.703
```


> Number 3 is which compound?

Nb4N5


> Which of these has the highest ρ?

number 4